(1)
A plane-wave DFT calculation with PBE was carried out for a relaxed Dy3Cu11Si4 crystal.

Cell lengths 8.4252, 8.4252, 8.6092 Å; angles 90.00, 90.00, 120.00 degrees
Space group P6_3/mmc (No. 194)
Symmetry-distinct sites (fractional):
1 Dy 0.1979 0.3958 0.2500 [6 per cell]
2 Cu 0.1311 0.5656 0.7500 [6 per cell]
3 Cu 0.1528 0.3056 0.5898 [12 per cell]
4 Cu 0.3333 0.6667 0.5075 [4 per cell]
5 Si 0.0000 0.0000 0.2500 [2 per cell]
6 Si 0.0000 0.5000 0.0000 [6 per cell]

Values from the calculation:
- crystal system = hexagonal

=====

(2)
A plane-wave DFT calculation with PBE was carried out for a relaxed CaSnP2O7 crystal.

Cell lengths 6.561, 7.030, 7.058 Å; angles 86.48, 88.30, 67.36 degrees
Space group P-1 (No. 2)
Symmetry-distinct sites (fractional):
1 Ca 0.188 0.295 0.367 [2 per cell]
2 Sn 0.238 0.884 0.850 [2 per cell]
3 P 0.278 0.767 0.396 [2 per cell]
4 P 0.317 0.340 0.853 [2 per cell]
5 O 0.141 0.986 0.315 [2 per cell]
6 O 0.142 0.558 0.833 [2 per cell]
7 O 0.147 0.631 0.436 [2 per cell]
8 O 0.271 0.185 0.734 [2 per cell]
9 O 0.375 0.262 0.062 [2 per cell]
10 O 0.409 0.783 0.572 [2 per cell]
11 O 0.456 0.647 0.237 [2 per cell]

Values from the calculation:
- crystal system = triclinic
- offset from the most stable computed form (eV/atom) = 0.0000

=====

(3)
A plane-wave DFT calculation with PBE was carried out for a relaxed CeMg2Si2 crystal.

Cell lengths 4.209, 4.209, 5.819 Å; angles 90.00, 90.00, 90.00 degrees
Space group P4/mmm (No. 123)
Symmetry-distinct sites (fractional):
1 Ce 0.000 0.000 0.000 [1 per cell]
2 Mg 0.000 0.500 0.500 [2 per cell]
3 Si 0.500 0.500 0.197 [2 per cell]

Values from the calculation:
- crystal system = tetragonal

=====

(4)
A plane-wave DFT calculation with PBE was carried out for a relaxed LiSiBiO4 crystal.

Cell lengths 7.963, 18.347, 5.034 Å; angles 90.00, 90.00, 90.00 degrees
Space group Pna2_1 (No. 33)
Symmetry-distinct sites (fractional):
1 Li 0.016 0.059 0.000 [4 per cell]
2 Li 0.176 0.645 0.512 [4 per cell]
3 Si 0.219 0.320 0.995 [4 per cell]
4 Si 0.244 0.069 0.504 [4 per cell]
5 Bi 0.044 0.235 0.556 [4 per cell]
6 Bi 0.186 0.452 0.585 [4 per cell]
7 O 0.052 0.355 0.845 [4 per cell]
8 O 0.077 0.533 0.881 [4 per cell]
9 O 0.104 0.021 0.340 [4 per cell]
10 O 0.114 0.861 0.377 [4 per cell]
11 O 0.205 0.320 0.321 [4 per cell]
12 O 0.220 0.234 0.883 [4 per cell]
13 O 0.233 0.155 0.405 [4 per cell]
14 O 0.237 0.059 0.824 [4 per cell]

Values from the calculation:
- crystal system = orthorhombic
- offset from the most stable computed form (eV/atom) = 0.0065

=====

(5)
A plane-wave DFT calculation with PBE was carried out for a relaxed La3AlCdS7 crystal.

Cell lengths 10.3644, 10.3644, 6.0826 Å; angles 90.00, 90.00, 120.00 degrees
Space group P6_3 (No. 173)
Symmetry-distinct sites (fractional):
1 La 0.1300 0.7548 0.0000 [6 per cell]
2 Al 0.3333 0.6667 0.5812 [2 per cell]
3 Cd 0.0000 0.0000 0.2423 [2 per cell]
4 S 0.0860 0.8360 0.4876 [6 per cell]
5 S 0.1061 0.5164 0.7324 [6 per cell]
6 S 0.3333 0.6667 0.2134 [2 per cell]

Values from the calculation:
- crystal system = hexagonal

=====

(6)
A plane-wave DFT calculation with PBE was carried out for a relaxed ZrNCl crystal.

Cell lengths 3.6458, 3.6458, 28.9985 Å; angles 90.00, 90.00, 120.00 degrees
Space group R-3m (No. 166, hexagonal axes)
Symmetry-distinct sites (fractional):
1 Zr 0.0000 0.0000 0.2121 [6 per cell]
2 N 0.0000 0.0000 0.1367 [6 per cell]
3 Cl 0.0000 0.0000 0.3919 [6 per cell]

Values from the calculation:
- crystal system = trigonal

=====

(7)
A plane-wave DFT calculation with PBE was carried out for a relaxed Na4Al3Si3HO13 crystal.

Cell lengths 12.5308, 12.5308, 15.2060 Å; angles 90.00, 90.00, 120.00 degrees
Space group R3c (No. 161, hexagonal axes)
Symmetry-distinct sites (fractional):
1 Na 0.0000 0.0000 0.0000 [6 per cell]
2 Na 0.2180 0.1092 0.3012 [18 per cell]
3 Al 0.0842 0.4169 0.2675 [18 per cell]
4 Si 0.9999 0.2490 0.1009 [18 per cell]
5 H 0.0000 0.0000 0.2757 [6 per cell]
6 O 0.0000 0.0000 0.3398 [6 per cell]
7 O 0.0029 0.2892 0.7122 [18 per cell]
8 O 0.0479 0.5190 0.7322 [18 per cell]
9 O 0.0522 0.3849 0.8721 [18 per cell]
10 O 0.1895 0.0895 0.0872 [18 per cell]

Values from the calculation:
- crystal system = trigonal

=====

(8)
A plane-wave DFT calculation with PBE was carried out for a relaxed Pr2MgCuO4 crystal.

Cell lengths 18.052, 4.093, 4.093 Å; angles 90.00, 103.05, 90.00 degrees
Space group C2/m (No. 12)
Symmetry-distinct sites (fractional):
1 Pr 0.185 0.000 0.185 [4 per cell]
2 Mg 0.000 0.000 0.000 [2 per cell]
3 Cu 0.000 0.500 0.500 [2 per cell]
4 O 0.000 0.000 0.500 [2 per cell]
5 O 0.000 0.500 0.000 [2 per cell]
6 O 0.250 0.000 0.750 [4 per cell]

Values from the calculation:
- crystal system = monoclinic
- offset from the most stable computed form (eV/atom) = 0.1145

=====

(9)
A plane-wave DFT calculation with PBE was carried out for a relaxed SrMg14Zr crystal.

Cell lengths 6.6184, 6.6184, 10.2999 Å; angles 90.00, 90.00, 120.00 degrees
Space group P-6m2 (No. 187)
Symmetry-distinct sites (fractional):
1 Sr 0.0000 0.0000 0.0000 [1 per cell]
2 Mg 0.0016 0.5008 0.5000 [3 per cell]
3 Mg 0.0098 0.5049 0.0000 [3 per cell]
4 Mg 0.1698 0.3396 0.2611 [6 per cell]
5 Mg 0.6667 0.3333 0.2481 [2 per cell]
6 Zr 0.0000 0.0000 0.5000 [1 per cell]

Values from the calculation:
- crystal system = hexagonal
- offset from the most stable computed form (eV/atom) = 0.0000

=====

(10)
A plane-wave DFT calculation with PBE was carried out for a relaxed TeW2S3 crystal.

Cell lengths 3.2741, 3.2741, 42.0075 Å; angles 90.00, 90.00, 120.00 degrees
Space group P3m1 (No. 156)
Symmetry-distinct sites (fractional):
1 Te 0.0000 0.0000 0.0000 [1 per cell]
2 Te 0.0000 0.0000 0.0922 [1 per cell]
3 W 0.0000 0.0000 0.2365 [1 per cell]
4 W 0.0000 0.0000 0.8559 [1 per cell]
5 W 0.6667 0.3333 0.0461 [1 per cell]
6 W 0.6667 0.3333 0.6702 [1 per cell]
7 S 0.0000 0.0000 0.6334 [1 per cell]
8 S 0.0000 0.0000 0.7069 [1 per cell]
9 S 0.6667 0.3333 0.1997 [1 per cell]
10 S 0.6667 0.3333 0.2733 [1 per cell]
11 S 0.6667 0.3333 0.8192 [1 per cell]
12 S 0.6667 0.3333 0.8927 [1 per cell]

Values from the calculation:
- crystal system = trigonal

=====

(11)
A plane-wave DFT calculation with PBE was carried out for a relaxed ZnSb4O9 crystal.

Cell lengths 9.331, 9.331, 5.154 Å; angles 90.00, 90.00, 90.00 degrees
Space group P4/n (No. 85, origin choice 2)
Symmetry-distinct sites (fractional):
1 Zn 0.250 0.250 0.045 [2 per cell]
2 Sb 0.023 0.669 0.358 [8 per cell]
3 O 0.040 0.308 0.991 [8 per cell]
4 O 0.052 0.141 0.486 [8 per cell]
5 O 0.250 0.750 0.500 [2 per cell]

Values from the calculation:
- crystal system = tetragonal

=====

(12)
A plane-wave DFT calculation with PBE was carried out for a relaxed Hf2SiS2 crystal.

Cell lengths 2.933, 2.933, 13.889 Å; angles 90.00, 90.00, 90.00 degrees
Space group P4/mmm (No. 123)
Symmetry-distinct sites (fractional):
1 Hf 0.000 0.000 0.199 [2 per cell]
2 Si 0.000 0.000 0.000 [1 per cell]
3 S 0.000 0.000 0.370 [2 per cell]

Values from the calculation:
- crystal system = tetragonal

=====

Q: Which energy relative to the elements values were calculated for the entries above? A: -29.8, -268.7, -38.6, -243.0, -191.7, -190.1, -285.6, -219.7, 6.7, -79.5, -135.9, 23.8, in kJ/mol of atoms.
Q: Which E values were calculated for the entries above? A: -4.803, -7.027, -4.425, -6.557, -5.730, -8.010, -6.777, -6.316, -1.970, -7.484, -5.417, -6.275, in eV per atom.